[1]
Entry from the Materials Project database: a relaxed AlPO4 crystal (GGA-PBE). Values from VASP.

The structure in Quantum ESPRESSO input format:
```
&SYSTEM
  ibrav = 0, nat = 72, ntyp = 3
/
ATOMIC_SPECIES
O 16.00 O.upf
P 30.97 P.upf
Al 26.98 Al.upf
CELL_PARAMETERS angstrom
-5.735 11.824 5.220
-7.919 -9.431 -6.948
-1.649 -4.067 7.400
ATOMIC_POSITIONS crystal
O 0.422 0.224 0.528
O 0.149 0.511 0.750
O 0.897 0.596 0.750
O 0.359 0.981 0.966
O 0.577 0.423 0.500
O 0.493 0.360 0.750
O 0.835 0.418 0.993
O 0.802 0.198 0.000
O 0.776 0.578 0.028
O 0.222 0.778 0.500
O 0.162 0.681 0.250
O 0.582 0.165 0.007
O 0.618 0.994 0.445
O 0.412 0.588 0.500
O 0.577 0.798 0.465
O 0.640 0.507 0.250
O 0.618 0.994 0.055
O 0.006 0.382 0.945
O 0.019 0.641 0.466
O 0.835 0.418 0.507
O 0.019 0.641 0.034
O 0.222 0.778 0.000
O 0.627 0.624 0.460
O 0.376 0.373 0.540
O 0.006 0.382 0.555
O 0.421 0.835 0.515
O 0.627 0.624 0.040
O 0.202 0.423 0.965
O 0.376 0.373 0.960
O 0.489 0.851 0.250
O 0.577 0.798 0.035
O 0.582 0.691 0.750
O 0.422 0.224 0.972
O 0.633 0.069 0.750
O 0.582 0.165 0.493
O 0.802 0.198 0.500
O 0.359 0.981 0.534
O 0.776 0.578 0.472
O 0.404 0.103 0.250
O 0.931 0.367 0.250
O 0.319 0.838 0.750
O 0.202 0.423 0.535
O 0.412 0.588 0.000
O 0.165 0.579 0.485
O 0.309 0.418 0.250
O 0.421 0.835 0.985
O 0.577 0.423 0.000
O 0.165 0.579 0.015
P 0.660 0.542 0.072
P 0.123 0.459 0.922
P 0.338 0.870 0.930
P 0.458 0.340 0.928
P 0.338 0.870 0.570
P 0.660 0.542 0.428
P 0.541 0.877 0.078
P 0.123 0.459 0.578
P 0.541 0.877 0.422
P 0.130 0.662 0.070
P 0.458 0.340 0.572
P 0.130 0.662 0.430
Al 0.872 0.544 0.566
Al 0.872 0.544 0.934
Al 0.543 0.670 0.939
Al 0.330 0.457 0.061
Al 0.875 0.329 0.433
Al 0.330 0.457 0.439
Al 0.875 0.329 0.067
Al 0.543 0.670 0.561
Al 0.456 0.128 0.066
Al 0.456 0.128 0.434
Al 0.671 0.125 0.567
Al 0.671 0.125 0.933
```

Properties
ΔE_f, eV/atom: -2.7915


[2]
Entry from the Materials Project database: a relaxed Ca5P3O12 crystal (GGA-PBE). Values from VASP.

The structure in Quantum ESPRESSO input format:
```
&SYSTEM
  ibrav = 0, nat = 40, ntyp = 3
/
ATOMIC_SPECIES
Ca 40.08 Ca.upf
O 16.00 O.upf
P 30.97 P.upf
CELL_PARAMETERS angstrom
0.634 7.961 -5.231
-7.104 -6.185 -1.561
-3.908 3.330 4.594
ATOMIC_POSITIONS crystal
Ca 0.996 0.749 0.750
Ca 0.251 0.247 0.750
Ca 0.333 0.667 0.499
Ca 0.667 0.333 0.501
Ca 0.247 0.996 0.250
Ca 0.749 0.753 0.250
Ca 0.333 0.667 0.001
Ca 0.004 0.251 0.250
Ca 0.753 0.004 0.750
Ca 0.667 0.333 0.999
O 0.343 0.257 0.431
O 0.657 0.743 0.569
O 0.844 0.329 0.750
O 0.743 0.086 0.431
O 0.914 0.657 0.069
O 0.156 0.671 0.250
O 0.086 0.343 0.931
O 0.743 0.086 0.069
O 0.657 0.743 0.931
O 0.086 0.343 0.569
O 0.914 0.657 0.431
O 0.343 0.257 0.069
O 0.671 0.515 0.750
O 0.534 0.122 0.250
O 0.257 0.914 0.931
O 0.329 0.485 0.250
O 0.485 0.156 0.750
O 0.122 0.588 0.750
O 0.878 0.412 0.250
O 0.412 0.534 0.750
O 0.588 0.466 0.250
O 0.466 0.878 0.750
O 0.515 0.844 0.250
O 0.257 0.914 0.569
P 0.601 0.631 0.750
P 0.030 0.399 0.750
P 0.369 0.970 0.750
P 0.631 0.030 0.250
P 0.399 0.369 0.250
P 0.970 0.601 0.250
```

Properties
ΔE_f, eV/atom: -3.2528


[3]
Entry from the Materials Project database: a relaxed TbPd2 crystal (GGA-PBE). Values from VASP.

The structure in Quantum ESPRESSO input format:
```
&SYSTEM
  ibrav = 0, nat = 3, ntyp = 2
/
ATOMIC_SPECIES
Pd 106.42 Pd.upf
Tb 158.93 Tb.upf
CELL_PARAMETERS angstrom
-1.983 1.983 4.238
1.983 -1.983 4.238
1.983 1.983 -4.238
ATOMIC_POSITIONS crystal
Pd 0.750 0.250 0.500
Pd 0.250 0.750 0.500
Tb 0.000 0.000 0.000
```

Properties
ΔE_f, eV/atom: -0.6121


[4]
Entry from the Materials Project database: a relaxed SbNF4 crystal (GGA-PBE). Values from VASP.

The structure in Quantum ESPRESSO input format:
```
&SYSTEM
  ibrav = 0, nat = 48, ntyp = 3
/
ATOMIC_SPECIES
F 19.00 F.upf
N 14.01 N.upf
Sb 121.76 Sb.upf
CELL_PARAMETERS angstrom
-4.652 0.609 -5.503
6.516 -0.977 -5.616
1.112 -17.498 -2.877
ATOMIC_POSITIONS crystal
F 0.627 0.802 0.144
F 0.873 0.802 0.644
F 0.095 0.404 0.751
F 0.493 0.626 0.562
F 0.106 0.234 0.206
F 0.024 0.104 0.857
F 0.976 0.896 0.143
F 0.697 0.172 0.008
F 0.905 0.596 0.249
F 0.303 0.828 0.992
F 0.894 0.766 0.794
F 0.867 0.500 0.434
F 0.405 0.404 0.251
F 0.007 0.626 0.062
F 0.367 0.500 0.066
F 0.197 0.828 0.492
F 0.133 0.500 0.566
F 0.428 0.084 0.215
F 0.633 0.500 0.934
F 0.507 0.374 0.438
F 0.803 0.172 0.508
F 0.394 0.234 0.706
F 0.127 0.198 0.356
F 0.572 0.916 0.785
F 0.373 0.198 0.856
F 0.524 0.896 0.643
F 0.993 0.374 0.938
F 0.606 0.766 0.294
F 0.595 0.596 0.749
F 0.928 0.916 0.285
F 0.072 0.084 0.715
F 0.476 0.104 0.357
N 0.264 0.168 0.043
N 0.736 0.832 0.957
N 0.264 0.634 0.869
N 0.236 0.634 0.369
N 0.764 0.832 0.457
N 0.236 0.168 0.543
N 0.764 0.366 0.631
N 0.736 0.366 0.131
Sb 0.249 0.679 0.591
Sb 0.303 0.197 0.278
Sb 0.697 0.803 0.722
Sb 0.749 0.321 0.909
Sb 0.197 0.197 0.778
Sb 0.251 0.679 0.091
Sb 0.751 0.321 0.409
Sb 0.803 0.803 0.222
```

Properties
ΔE_f, eV/atom: -1.2309


[5]
Entry from the Materials Project database: a relaxed ZrUN2 crystal (GGA-PBE). Values from VASP.

The structure in Quantum ESPRESSO input format:
```
&SYSTEM
  ibrav = 0, nat = 4, ntyp = 3
/
ATOMIC_SPECIES
N 14.01 N.upf
Zr 91.22 Zr.upf
U 238.03 U.upf
CELL_PARAMETERS angstrom
5.618 -1.671 0.000
5.618 1.671 0.000
5.122 0.000 2.851
ATOMIC_POSITIONS crystal
N 0.753 0.753 0.753
N 0.247 0.247 0.247
Zr 0.500 0.500 0.500
U 0.000 0.000 0.000
```

Properties
ΔE_f, eV/atom: -1.7132


[6]
Entry from the Materials Project database: a relaxed LuBrO crystal (GGA-PBE). Values from VASP.

The structure in Quantum ESPRESSO input format:
```
&SYSTEM
  ibrav = 0, nat = 6, ntyp = 3
/
ATOMIC_SPECIES
Br 79.90 Br.upf
Lu 174.97 Lu.upf
O 16.00 O.upf
CELL_PARAMETERS angstrom
-3.087 -0.797 -1.975
1.216 -3.514 -0.484
-4.108 -2.440 7.403
ATOMIC_POSITIONS crystal
Br 0.500 0.000 0.187
Br 0.000 0.500 0.813
Lu 0.000 0.500 0.375
Lu 0.500 0.000 0.625
O 0.000 0.000 0.500
O 0.500 0.500 0.500
```

Properties
ΔE_f, eV/atom: -3.1793


[7]
Entry from the Materials Project database: a relaxed GdBi3 crystal (GGA-PBE). Values from VASP.

The structure in Quantum ESPRESSO input format:
```
&SYSTEM
  ibrav = 0, nat = 8, ntyp = 2
/
ATOMIC_SPECIES
Bi 208.98 Bi.upf
Gd 157.25 Gd.upf
CELL_PARAMETERS angstrom
-0.767 6.447 2.112
-0.290 -1.468 -6.662
-6.023 -0.865 0.453
ATOMIC_POSITIONS crystal
Bi 0.828 0.172 0.750
Bi 0.657 0.828 0.250
Bi 0.828 0.657 0.750
Bi 0.172 0.343 0.250
Bi 0.172 0.828 0.250
Bi 0.343 0.172 0.750
Gd 0.333 0.667 0.750
Gd 0.667 0.333 0.250
```

Properties
ΔE_f, eV/atom: -0.3937


[8]
Entry from the Materials Project database: a relaxed NaSmP2S6 crystal (GGA-PBE). Values from VASP.

The structure in Quantum ESPRESSO input format:
```
&SYSTEM
  ibrav = 0, nat = 40, ntyp = 4
/
ATOMIC_SPECIES
S 32.06 S.upf
P 30.97 P.upf
Na 22.99 Na.upf
Sm 150.36 Sm.upf
CELL_PARAMETERS angstrom
7.404 0.000 0.000
0.000 11.174 0.000
0.000 4.257 10.958
ATOMIC_POSITIONS crystal
S 0.299 0.565 0.378
S 0.479 0.687 0.051
S 0.508 0.162 0.589
S 0.814 0.435 0.092
S 0.008 0.338 0.411
S 0.204 0.367 0.719
S 0.992 0.662 0.589
S 0.799 0.935 0.622
S 0.686 0.935 0.092
S 0.186 0.855 0.194
S 0.201 0.065 0.378
S 0.521 0.313 0.949
S 0.701 0.435 0.622
S 0.186 0.565 0.908
S 0.796 0.633 0.281
S 0.314 0.065 0.908
S 0.314 0.355 0.194
S 0.296 0.867 0.719
S 0.704 0.133 0.281
S 0.492 0.838 0.411
S 0.814 0.145 0.806
S 0.979 0.813 0.949
S 0.686 0.645 0.806
S 0.021 0.187 0.051
P 0.115 0.249 0.306
P 0.397 0.250 0.825
P 0.103 0.750 0.825
P 0.385 0.749 0.306
P 0.885 0.751 0.694
P 0.603 0.750 0.175
P 0.897 0.250 0.175
P 0.615 0.251 0.694
Na 0.891 0.879 0.360
Na 0.391 0.621 0.640
Na 0.609 0.379 0.360
Na 0.109 0.121 0.640
Sm 0.610 0.909 0.847
Sm 0.890 0.409 0.847
Sm 0.110 0.591 0.153
Sm 0.390 0.091 0.153
```

Properties
ΔE_f, eV/atom: -1.2179


Number 1: energy -7.16 eV per atom. Number 2: energy -7.12 eV per atom. Number 3: energy -5.61 eV per atom. Number 4: energy -4.28 eV per atom. Number 5: energy -10.66 eV per atom. Number 6: energy -6.65 eV per atom. Number 7: energy -6.83 eV per atom. Number 8: energy -5.08 eV per atom.